Compound: Rb3Zr
Source: Materials Project
Functional: GGA-PBE
Structure: optimized geometry

Geometry as CIF:
```
data_Rb3Zr
_cell_length_a 7.5211
_cell_length_b 7.5211
_cell_length_c 7.5211
_cell_angle_alpha 130.69
_cell_angle_beta 130.69
_cell_angle_gamma 72.30
_space_group_name_H-M_alt 'P 1'
_space_group_IT_number 1
loop_
_space_group_symop_operation_xyz
'x,y,z'
loop_
_atom_site_label
_atom_site_type_symbol
_atom_site_fract_x
_atom_site_fract_y
_atom_site_fract_z
Rb1 Rb 0.7500 0.2500 0.5000
Rb2 Rb 0.2500 0.7500 0.5000
Rb3 Rb 0.5000 0.5000 0.0000
Zr1 Zr 0.0000 0.0000 0.0000
```

Values from the calculation:
Energy above the most stable polymorph in this dataset, eV/f.u.: 0.01
Raw total energy, eV/atom: -1.847